Entry 1:
Compound: MgNiP2O7
Source: the Materials Project database
Functional: GGA+U
Structure: optimized geometry

E = -72.5 eV per formula unit
E_form = -2.453 eV per atom
SG = No. 5

Cell lengths 5.8022, 5.8022, 5.1850 Å; angles 88.34, 91.67, 73.38 degrees
Fractional positions:
Mg  0.1704  0.1704  0.5000
Ni  0.0014  0.0014  0.0000
P  0.2665  0.6738  0.5539
P  0.6738  0.2665  0.4461
O  0.8171  0.1587  0.6973
O  0.1487  0.4873  0.6451
O  0.8667  0.2696  0.2451
O  0.2696  0.8667  0.7549
O  0.5469  0.5469  0.5000
O  0.1587  0.8170  0.3027
O  0.4872  0.1486  0.3549

Entry 2:
Compound: LiV2F7
Source: the Materials Project database
Functional: GGA+U
Structure: optimized geometry

E = -58.2 eV per formula unit
E_form = -3.140 eV per atom
SG = No. 2

Cell lengths 5.4336, 6.9261, 8.5254 Å; angles 109.37, 103.14, 86.10 degrees
Fractional positions:
Li  0.1299  0.0223  0.7434
Li  0.8701  0.9777  0.2566
V  0.7066  0.7183  0.8207
V  0.1824  0.4851  0.6747
V  0.8176  0.5149  0.3253
V  0.2934  0.2817  0.1793
F  0.3336  0.1801  0.9560
F  0.0651  0.6131  0.8822
F  0.5446  0.4474  0.7635
F  0.0838  0.2126  0.6206
F  0.3313  0.7633  0.7121
F  0.8325  0.9472  0.7925
F  0.8076  0.5616  0.5741
F  0.1924  0.4384  0.4259
F  0.1675  0.0528  0.2075
F  0.6687  0.2367  0.2879
F  0.9162  0.7874  0.3794
F  0.4554  0.5526  0.2365
F  0.9349  0.3869  0.1178
F  0.6664  0.8199  0.0440

Entry 3:
Compound: CaVF5
Source: the Materials Project database
Functional: GGA+U
Structure: optimized geometry

E = -42.3 eV per formula unit
E_form = -3.666 eV per atom
SG = No. 15

Cell lengths 5.6421, 5.6421, 7.8320 Å; angles 69.67, 69.67, 71.45 degrees
Fractional positions:
Ca  0.5453  0.4547  0.7500
Ca  0.4547  0.5453  0.2500
V  0.0000  0.0000  0.5000
V  0.0000  0.0000  0.0000
F  0.0901  0.9099  0.2500
F  0.9099  0.0901  0.7500
F  0.7561  0.7819  0.1197
F  0.2181  0.2439  0.3803
F  0.6964  0.2863  0.4658
F  0.7137  0.3036  0.0342
F  0.3036  0.7137  0.5342
F  0.2863  0.6964  0.9658
F  0.7819  0.7561  0.6197
F  0.2439  0.2181  0.8803